V3Cr2FeP6O24 | GGA+U | optimized geometry

Geometry as POSCAR:
```
V3Cr2FeP6O24
1.0
7.370 -4.312 0.000
7.370 4.312 0.000
4.847 0.000 7.030
V Cr Fe P O
3 2 1 6 24
Direct
0.356 0.356 0.356
0.143 0.143 0.143
0.643 0.643 0.643
0.999 0.999 0.999
0.500 0.500 0.500
0.854 0.854 0.854
0.750 0.044 0.454
0.044 0.454 0.750
0.454 0.750 0.044
0.546 0.250 0.956
0.956 0.546 0.250
0.250 0.956 0.546
0.887 0.494 0.686
0.494 0.686 0.887
0.686 0.887 0.494
0.909 0.062 0.254
0.816 0.008 0.609
0.588 0.243 0.437
0.062 0.254 0.909
0.243 0.437 0.588
0.390 0.186 0.993
0.437 0.588 0.243
0.744 0.090 0.944
0.993 0.390 0.186
0.008 0.609 0.816
0.254 0.909 0.062
0.564 0.410 0.756
0.609 0.816 0.008
0.756 0.564 0.410
0.944 0.744 0.090
0.410 0.756 0.564
0.186 0.993 0.390
0.090 0.944 0.744
0.321 0.111 0.502
0.502 0.321 0.111
0.111 0.502 0.321
```

- Mass density: 3.28 g/cm3
- Calculated total energy: -7.48 eV/atom
- Energy of formation: -244 kJ/mol of atoms
- Total moment: 17.00 μB per cell